# Cu9S5

An optimized crystal structure of Cu9S5 (GGA-PBE, the Materials Project database).

Cell: 5.792 6.510 6.522 Å, 79.57 64.27 64.03°
Space group P1 (No. 1)
Inequivalent atoms, fractional coordinates:
Cu1 0.000 0.000 0.000 x1
Cu2 0.011 0.602 0.102 x1
Cu3 0.141 0.044 0.305 x1
Cu4 0.346 0.394 0.536 x1
Cu5 0.456 0.292 0.136 x1
Cu6 0.514 0.721 0.428 x1
Cu7 0.564 0.835 0.760 x1
Cu8 0.745 0.145 0.694 x1
Cu9 0.865 0.442 0.849 x1
S1 0.068 0.780 0.727 x1
S2 0.266 0.217 0.921 x1
S3 0.437 0.657 0.120 x1
S4 0.654 0.027 0.361 x1
S5 0.901 0.416 0.484 x1

Computed properties:
Calculated formation energy (eV per formula unit): -3.13
Total magnetization (μB/f.u.): 0.00
Mass density (g cm⁻³): 6.1
Energy with MP2020 corrections (eV per formula unit): -60.71
E above lowest polymorph (eV/atom): 0.054